#one
# AsS

An optimized crystal structure of AsS (r²SCAN, the Materials Project).

The structure in CIF format:
```
data_AsS
_cell_length_a 10.193
_cell_length_b 9.828
_cell_length_c 8.696
_cell_angle_alpha 90.00
_cell_angle_beta 97.69
_cell_angle_gamma 90.00
_space_group_name_H-M_alt 'P 1 21/c 1'
_space_group_IT_number 14
loop_
_space_group_symop_operation_xyz
'x,y,z'
'-x,-y,-z'
'-x,y+1/2,-z+1/2'
'x,-y+1/2,z+1/2'
loop_
_atom_site_label
_atom_site_type_symbol
_atom_site_fract_x
_atom_site_fract_y
_atom_site_fract_z
_atom_site_occupancy
As1 As 0.085 0.044 0.322 1
As2 As 0.149 0.655 0.666 1
As3 As 0.316 0.134 0.044 1
As4 As 0.368 0.638 0.840 1
S1 S 0.167 0.216 0.192 1
S2 S 0.197 0.553 0.455 1
S3 S 0.254 0.522 0.006 1
S4 S 0.467 0.025 0.215 1
```

#two
# AsS

An optimized crystal structure of AsS (r²SCAN, the Materials Project).

The structure in CIF format:
```
data_AsS
_cell_length_a 6.780
_cell_length_b 14.077
_cell_length_c 9.974
_cell_angle_alpha 90.00
_cell_angle_beta 113.66
_cell_angle_gamma 90.00
_space_group_name_H-M_alt 'P 1 21/c 1'
_space_group_IT_number 14
loop_
_space_group_symop_operation_xyz
'x,y,z'
'-x,-y,-z'
'-x,y+1/2,-z+1/2'
'x,-y+1/2,z+1/2'
loop_
_atom_site_label
_atom_site_type_symbol
_atom_site_fract_x
_atom_site_fract_y
_atom_site_fract_z
_atom_site_occupancy
As1 As 0.055 0.139 0.421 1
As2 As 0.146 0.016 0.877 1
As3 As 0.178 0.661 0.457 1
As4 As 0.362 0.626 0.184 1
S1 S 0.086 0.223 0.240 1
S2 S 0.130 0.501 0.843 1
S3 S 0.400 0.018 0.786 1
S4 S 0.444 0.706 0.393 1
```

Which one sits at the top of the stability order? #two does.

#one
# Na5P3O10

An optimized crystal structure of Na5P3O10 (r²SCAN, the Materials Project).

The structure in CIF format:
```
data_Na5P3O10
_cell_length_a 9.624
_cell_length_b 5.311
_cell_length_c 18.392
_cell_angle_alpha 90.00
_cell_angle_beta 97.01
_cell_angle_gamma 90.00
_space_group_name_H-M_alt 'C 1 2/c 1'
_space_group_IT_number 15
loop_
_space_group_symop_operation_xyz
'x,y,z'
'-x,-y,-z'
'-x,y,-z+1/2'
'x,-y,z+1/2'
'x+1/2,y+1/2,z'
'-x+1/2,-y+1/2,-z'
'-x+1/2,y+1/2,-z+1/2'
'x+1/2,-y+1/2,z+1/2'
loop_
_atom_site_label
_atom_site_type_symbol
_atom_site_fract_x
_atom_site_fract_y
_atom_site_fract_z
_atom_site_occupancy
Na1 Na 0.075 0.232 0.066 1
Na2 Na 0.216 0.178 0.325 1
Na3 Na 0.250 0.250 0.500 1
P1 P 0.000 0.399 0.750 1
P2 P 0.083 0.272 0.901 1
O1 O 0.043 0.197 0.814 1
O2 O 0.046 0.210 0.563 1
O3 O 0.118 0.450 0.403 1
O4 O 0.125 0.457 0.233 1
O5 O 0.205 0.101 0.925 1
```

#two
# Na5P3O10

An optimized crystal structure of Na5P3O10 (r²SCAN, the Materials Project).

The structure in CIF format:
```
data_Na5P3O10
_cell_length_a 15.890
_cell_length_b 5.175
_cell_length_c 11.123
_cell_angle_alpha 90.00
_cell_angle_beta 92.86
_cell_angle_gamma 90.00
_space_group_name_H-M_alt 'C 1 2/c 1'
_space_group_IT_number 15
loop_
_space_group_symop_operation_xyz
'x,y,z'
'-x,-y,-z'
'-x,y,-z+1/2'
'x,-y,z+1/2'
'x+1/2,y+1/2,z'
'-x+1/2,-y+1/2,-z'
'-x+1/2,y+1/2,-z+1/2'
'x+1/2,-y+1/2,z+1/2'
loop_
_atom_site_label
_atom_site_type_symbol
_atom_site_fract_x
_atom_site_fract_y
_atom_site_fract_z
_atom_site_occupancy
Na1 Na 0.039 0.238 0.461 1
Na2 Na 0.159 0.233 0.208 1
Na3 Na 0.250 0.250 0.500 1
P1 P 0.000 0.198 0.750 1
P2 P 0.147 0.304 0.901 1
O1 O 0.039 0.047 0.652 1
O2 O 0.066 0.399 0.808 1
O3 O 0.120 0.412 0.020 1
O4 O 0.150 0.013 0.893 1
O5 O 0.220 0.447 0.851 1
```

Which one sits at the top of the stability order? #two does.

#one
# TiBi2O5

An optimized crystal structure of TiBi2O5 (r²SCAN, the Materials Project).

The structure in CIF format:
```
data_TiBi2O5
_cell_length_a 11.232
_cell_length_b 3.912
_cell_length_c 10.987
_cell_angle_alpha 90.00
_cell_angle_beta 90.00
_cell_angle_gamma 90.00
_space_group_name_H-M_alt 'P n m a'
_space_group_IT_number 62
loop_
_space_group_symop_operation_xyz
'x,y,z'
'-x,-y,-z'
'-x+1/2,-y,z+1/2'
'x+1/2,y,-z+1/2'
'x+1/2,-y+1/2,-z+1/2'
'-x+1/2,y+1/2,z+1/2'
'-x,y+1/2,-z'
'x,-y+1/2,z'
loop_
_atom_site_label
_atom_site_type_symbol
_atom_site_fract_x
_atom_site_fract_y
_atom_site_fract_z
_atom_site_occupancy
Ti1 Ti 0.209 0.250 0.133 1
Bi1 Bi 0.085 0.250 0.784 1
Bi2 Bi 0.136 0.250 0.443 1
O1 O 0.006 0.250 0.601 1
O2 O 0.059 0.250 0.182 1
O3 O 0.190 0.750 0.771 1
O4 O 0.249 0.250 0.628 1
O5 O 0.249 0.750 0.466 1
```

#two
# TiBi2O5

An optimized crystal structure of TiBi2O5 (r²SCAN, the Materials Project).

The structure in CIF format:
```
data_TiBi2O5
_cell_length_a 15.847
_cell_length_b 5.582
_cell_length_c 5.518
_cell_angle_alpha 90.00
_cell_angle_beta 90.00
_cell_angle_gamma 90.00
_space_group_name_H-M_alt 'C m c 21'
_space_group_IT_number 36
loop_
_space_group_symop_operation_xyz
'x,y,z'
'-x,-y,z+1/2'
'-x,y,z'
'x,-y,z+1/2'
'x+1/2,y+1/2,z'
'-x+1/2,-y+1/2,z+1/2'
'-x+1/2,y+1/2,z'
'x+1/2,-y+1/2,z+1/2'
loop_
_atom_site_label
_atom_site_type_symbol
_atom_site_fract_x
_atom_site_fract_y
_atom_site_fract_z
_atom_site_occupancy
Ti1 Ti 0.000 0.191 0.000 1
Bi1 Bi 0.170 0.289 0.464 1
O1 O 0.000 0.088 0.680 1
O2 O 0.095 0.350 0.072 1
O3 O 0.249 0.481 0.742 1
```

Which one sits at the top of the stability order? #two does.

#one
# NdY3

An optimized crystal structure of NdY3 (r²SCAN, the Materials Project).

The structure in CIF format:
```
data_NdY3
_cell_length_a 5.145
_cell_length_b 5.145
_cell_length_c 10.194
_cell_angle_alpha 90.00
_cell_angle_beta 90.00
_cell_angle_gamma 90.00
_space_group_name_H-M_alt 'I 4/m m m'
_space_group_IT_number 139
_space_group_name_Hall '-I 4 2'
loop_
_atom_site_label
_atom_site_type_symbol
_atom_site_fract_x
_atom_site_fract_y
_atom_site_fract_z
_atom_site_occupancy
Nd1 Nd 0.000 0.000 0.000 1
Y1 Y 0.000 0.000 0.500 1
Y2 Y 0.000 0.500 0.250 1
```

#two
# NdY3

An optimized crystal structure of NdY3 (r²SCAN, the Materials Project).

The structure in CIF format:
```
data_NdY3
_cell_length_a 7.3548
_cell_length_b 7.3548
_cell_length_c 5.8990
_cell_angle_alpha 90.00
_cell_angle_beta 90.00
_cell_angle_gamma 120.00
_space_group_name_H-M_alt 'P 63/m m c'
_space_group_IT_number 194
_space_group_name_Hall '-P 6c 2c'
loop_
_atom_site_label
_atom_site_type_symbol
_atom_site_fract_x
_atom_site_fract_y
_atom_site_fract_z
_atom_site_occupancy
Nd1 Nd 0.3333 0.6667 0.2500 1
Y1 Y 0.1650 0.3300 0.7500 1
```

Which one sits at the top of the stability order? #two does.

#one
# LiVF4

An optimized crystal structure of LiVF4 (r²SCAN, the Materials Project).

The structure in CIF format:
```
data_LiVF4
_cell_length_a 7.350
_cell_length_b 4.932
_cell_length_c 7.243
_cell_angle_alpha 90.00
_cell_angle_beta 102.17
_cell_angle_gamma 90.00
_space_group_name_H-M_alt 'P 1 21/c 1'
_space_group_IT_number 14
loop_
_space_group_symop_operation_xyz
'x,y,z'
'-x,-y,-z'
'-x,y+1/2,-z+1/2'
'x,-y+1/2,z+1/2'
loop_
_atom_site_label
_atom_site_type_symbol
_atom_site_fract_x
_atom_site_fract_y
_atom_site_fract_z
_atom_site_occupancy
Li1 Li 0.147 0.243 0.338 1
V1 V 0.314 0.746 0.681 1
F1 F 0.090 0.575 0.195 1
F2 F 0.194 0.072 0.080 1
F3 F 0.308 0.581 0.932 1
F4 F 0.443 0.073 0.804 1
```

#two
# LiVF4

An optimized crystal structure of LiVF4 (r²SCAN, the Materials Project).

The structure in CIF format:
```
data_LiVF4
_cell_length_a 6.489
_cell_length_b 6.489
_cell_length_c 6.062
_cell_angle_alpha 90.00
_cell_angle_beta 90.00
_cell_angle_gamma 90.00
_space_group_name_H-M_alt 'I 41 m d'
_space_group_IT_number 109
_space_group_name_Hall 'I 4bw -2'
loop_
_atom_site_label
_atom_site_type_symbol
_atom_site_fract_x
_atom_site_fract_y
_atom_site_fract_z
_atom_site_occupancy
Li1 Li 0.000 0.000 0.000 1
V1 V 0.000 0.000 0.526 1
F1 F 0.000 0.300 0.005 1
F2 F 0.000 0.300 0.523 1
```

Which one sits at the top of the stability order? #one does.

#one
# Er2WO6

An optimized crystal structure of Er2WO6 (r²SCAN, the Materials Project).

The structure in CIF format:
```
data_Er2WO6
_cell_length_a 7.569
_cell_length_b 5.291
_cell_length_c 11.267
_cell_angle_alpha 90.00
_cell_angle_beta 104.71
_cell_angle_gamma 90.00
_space_group_name_H-M_alt 'P 1 2/c 1'
_space_group_IT_number 13
loop_
_space_group_symop_operation_xyz
'x,y,z'
'-x,-y,-z'
'-x,y,-z+1/2'
'x,-y,z+1/2'
loop_
_atom_site_label
_atom_site_type_symbol
_atom_site_fract_x
_atom_site_fract_y
_atom_site_fract_z
_atom_site_occupancy
Er1 Er 0.000 0.183 0.250 1
Er2 Er 0.297 0.315 0.922 1
Er3 Er 0.500 0.239 0.250 1
W1 W 0.222 0.245 0.614 1
O1 O 0.012 0.141 0.886 1
O2 O 0.133 0.347 0.450 1
O3 O 0.211 0.483 0.229 1
O4 O 0.289 0.038 0.773 1
O5 O 0.349 0.031 0.070 1
O6 O 0.439 0.460 0.604 1
```

#two
# Er2WO6

An optimized crystal structure of Er2WO6 (r²SCAN, the Materials Project).

The structure in CIF format:
```
data_Er2WO6
_cell_length_a 5.169
_cell_length_b 8.983
_cell_length_c 9.809
_cell_angle_alpha 90.00
_cell_angle_beta 90.00
_cell_angle_gamma 90.00
_space_group_name_H-M_alt 'P 21 21 21'
_space_group_IT_number 19
loop_
_space_group_symop_operation_xyz
'x,y,z'
'-x+1/2,-y,z+1/2'
'x+1/2,-y+1/2,-z'
'-x,y+1/2,-z+1/2'
loop_
_atom_site_label
_atom_site_type_symbol
_atom_site_fract_x
_atom_site_fract_y
_atom_site_fract_z
_atom_site_occupancy
Er1 Er 0.017 0.103 0.466 1
Er2 Er 0.040 0.219 0.873 1
W1 W 0.038 0.495 0.347 1
O1 O 0.088 0.843 0.031 1
O2 O 0.177 0.954 0.300 1
O3 O 0.179 0.638 0.819 1
O4 O 0.195 0.641 0.235 1
O5 O 0.234 0.115 0.068 1
O6 O 0.247 0.590 0.495 1
```

Which one sits at the top of the stability order? #one does.